VASP calculation (PBE) on crystalline AgO at its relaxed geometry.

Cell: 5.0270 4.2731 5.6457 Å, 90.00 94.36 90.00°
Space group C2/c (No. 15)
Unique sites:
Ag 0.2500 0.2500 0.0000 [4 per cell]
O 0.0000 0.0248 0.2500 [4 per cell]

Results
Its corrected total energy (MP2020 scheme) is -4.3293 eV/atom. Its formation energy is -0.439 eV/atom. The value obtained for the energy is -3.986 eV per atom.

=====

VASP calculation (PBE) on crystalline Ag3O4 at its relaxed geometry.

Cell: 3.7720 9.3480 5.7457 Å, 90.00 104.23 90.00°
Space group P2_1/c (No. 14)
Unique sites:
Ag 0.0000 0.0000 0.0000 [2 per cell]
Ag 0.2939 0.1417 0.5510 [4 per cell]
O 0.0527 0.1920 0.8310 [4 per cell]
O 0.4678 0.0431 0.2711 [4 per cell]

Results
Its corrected total energy (MP2020 scheme) is -4.4473 eV/atom. Its formation energy is -0.406 eV/atom. The value obtained for the energy is -4.055 eV per atom.